# Li2VF4 | the Materials Project database | GGA+U | relaxed
# Energy relative to the elements (eV/atom): -3.056
# Electronic total energy (eV/cell): -307.25
# Offset from the most stable computed form (meV/atom): 20
data_Li2VF4
_chemical_formula_sum 'Li16 V8 F32'
_cell_length_a 10.4574
_cell_length_b 6.3626
_cell_length_c 11.4463
_cell_angle_alpha 90.00
_cell_angle_beta 122.05
_cell_angle_gamma 90.00
_symmetry_space_group_name_H-M 'P 1 21/c 1'
_symmetry_Int_Tables_number 14
loop_
_symmetry_equiv_pos_as_xyz
'x,y,z'
'-x,-y,-z'
'-x,y+1/2,-z+1/2'
'x,-y+1/2,z+1/2'
loop_
_atom_site_label
_atom_site_type_symbol
_atom_site_fract_x
_atom_site_fract_y
_atom_site_fract_z
Li1 Li 0.1564 0.0320 0.0746
Li2 Li 0.1566 0.5352 0.0712
Li3 Li 0.3438 0.0367 0.4250
Li4 Li 0.3437 0.5381 0.4235
V1 V 0.0004 0.2174 0.7489
V2 V 0.4993 0.2231 0.7484
F1 F 0.0013 0.0300 0.1229
F2 F 0.0043 0.5334 0.1245
F3 F 0.2344 0.7114 0.8838
F4 F 0.2358 0.2120 0.8688
F5 F 0.2639 0.2160 0.6288
F6 F 0.2652 0.7160 0.6446
F7 F 0.4990 0.0243 0.1219
F8 F 0.4988 0.0274 0.3771